Cr2H21I7N6O3 | PBE with a Hubbard U | relaxed

Computed properties:
DFT total energy   -736.1 eV/cell
E_form   -0.62 eV/atom
Space group   No. 62

a b c (Å): 8.410 11.595 27.320
angles (deg): 90.00 90.00 90.00
Fractional coordinates of all 156 atoms:
H  0.965  0.593  0.730
H  0.465  0.093  0.770
H  0.250  0.788  0.006
H  0.152  0.404  0.669
H  0.152  0.096  0.169
H  0.922  0.383  0.949
H  0.940  0.202  0.745
H  0.072  0.579  0.110
H  0.540  0.686  0.090
H  0.596  0.432  0.226
H  0.928  0.079  0.390
H  0.652  0.904  0.831
H  0.465  0.407  0.270
H  0.596  0.068  0.726
H  0.404  0.568  0.774
H  0.404  0.932  0.274
H  0.750  0.889  0.778
H  0.009  0.108  0.870
H  0.572  0.421  0.890
H  0.250  0.111  0.222
H  0.428  0.579  0.110
H  0.540  0.814  0.590
H  0.848  0.105  0.967
H  0.652  0.395  0.467
H  0.152  0.605  0.533
H  0.960  0.814  0.590
H  0.922  0.117  0.449
H  0.078  0.883  0.551
H  0.572  0.079  0.390
H  0.848  0.395  0.467
H  0.560  0.202  0.745
H  0.848  0.904  0.831
H  0.750  0.611  0.278
H  0.848  0.596  0.331
H  0.750  0.347  0.805
H  0.560  0.298  0.245
H  0.040  0.314  0.910
H  0.348  0.404  0.669
H  0.348  0.895  0.033
H  0.991  0.892  0.130
H  0.348  0.605  0.533
H  0.152  0.895  0.033
H  0.652  0.596  0.331
H  0.928  0.421  0.890
H  0.428  0.921  0.610
H  0.904  0.432  0.226
H  0.509  0.892  0.130
H  0.060  0.798  0.255
H  0.750  0.288  0.494
H  0.078  0.617  0.051
H  0.578  0.383  0.949
H  0.250  0.847  0.695
H  0.250  0.653  0.195
H  0.422  0.883  0.551
H  0.535  0.593  0.730
H  0.035  0.407  0.270
H  0.940  0.298  0.245
H  0.348  0.096  0.169
H  0.009  0.392  0.370
H  0.535  0.907  0.230
H  0.491  0.392  0.370
H  0.460  0.186  0.410
H  0.250  0.712  0.506
H  0.509  0.608  0.630
H  0.096  0.568  0.774
H  0.422  0.617  0.051
H  0.250  0.389  0.722
H  0.991  0.608  0.630
H  0.096  0.932  0.274
H  0.750  0.212  0.994
H  0.035  0.093  0.770
H  0.960  0.686  0.090
H  0.965  0.907  0.230
H  0.040  0.186  0.410
H  0.440  0.702  0.755
H  0.578  0.117  0.449
H  0.904  0.068  0.726
H  0.750  0.153  0.305
H  0.460  0.314  0.910
H  0.491  0.108  0.870
H  0.652  0.105  0.967
H  0.060  0.702  0.755
H  0.440  0.798  0.255
H  0.072  0.921  0.610
N  0.427  0.882  0.244
N  0.750  0.158  0.964
N  0.430  0.649  0.086
N  0.250  0.842  0.036
N  0.750  0.570  0.312
N  0.570  0.149  0.414
N  0.930  0.149  0.414
N  0.750  0.342  0.464
N  0.573  0.118  0.756
N  0.250  0.070  0.188
N  0.073  0.618  0.744
N  0.927  0.118  0.756
N  0.430  0.851  0.586
N  0.250  0.658  0.536
N  0.930  0.351  0.914
N  0.070  0.649  0.086
N  0.427  0.618  0.744
N  0.927  0.382  0.256
N  0.750  0.930  0.812
N  0.573  0.382  0.256
N  0.250  0.430  0.688
N  0.570  0.351  0.914
N  0.070  0.851  0.586
N  0.073  0.882  0.244
Cr  0.250  0.892  0.189
Cr  0.250  0.766  0.105
Cr  0.750  0.108  0.811
Cr  0.750  0.392  0.311
Cr  0.250  0.608  0.689
Cr  0.750  0.234  0.895
Cr  0.750  0.266  0.395
Cr  0.250  0.734  0.605
O  0.393  0.893  0.130
O  0.393  0.607  0.630
O  0.107  0.607  0.630
O  0.250  0.776  0.675
O  0.750  0.276  0.825
O  0.107  0.893  0.130
O  0.607  0.107  0.870
O  0.893  0.393  0.370
O  0.250  0.724  0.175
O  0.607  0.393  0.370
O  0.893  0.107  0.870
O  0.750  0.224  0.325
I  0.750  0.625  0.535
I  0.250  0.912  0.808
I  0.250  0.554  0.962
I  0.750  0.088  0.192
I  0.250  0.730  0.887
I  0.750  0.886  0.349
I  0.250  0.588  0.308
I  0.250  0.241  0.558
I  0.750  0.614  0.849
I  0.750  0.230  0.613
I  0.750  0.270  0.113
I  0.250  0.375  0.465
I  0.250  0.114  0.651
I  0.250  0.165  0.312
I  0.750  0.412  0.692
I  0.250  0.946  0.462
I  0.250  0.335  0.812
I  0.250  0.770  0.387
I  0.750  0.875  0.035
I  0.750  0.665  0.188
I  0.750  0.835  0.688
I  0.750  0.759  0.442
I  0.250  0.125  0.965
I  0.250  0.259  0.058
I  0.750  0.446  0.038
I  0.750  0.054  0.538
I  0.250  0.386  0.151
I  0.750  0.741  0.942

***

Li24Mn7Cr5O36 | PBE with a Hubbard U | relaxed

Computed properties:
Energy relative to the lowest polymorph listed for this composition   0.000 eV per atom
DFT total energy   -448.5 eV/cell
E_form   -2.20 eV/atom
Space group   No. 1

a b c (Å): 5.008 9.748 13.281
angles (deg): 97.02 100.38 94.66
Fractional coordinates of all 72 atoms:
Li  0.381  0.500  0.778
Li  0.624  0.503  0.223
Li  0.050  0.000  0.613
Li  0.951  0.498  0.887
Li  0.166  0.500  0.334
Li  0.279  0.998  0.053
Li  0.331  0.251  0.418
Li  0.499  0.500  0.000
Li  0.722  0.002  0.948
Li  0.956  0.001  0.387
Li  0.831  0.500  0.667
Li  0.714  0.499  0.445
Li  0.833  0.000  0.167
Li  0.668  0.249  0.083
Li  0.663  0.750  0.584
Li  0.048  0.501  0.113
Li  0.380  0.998  0.280
Li  0.167  0.000  0.833
Li  0.999  0.750  0.250
Li  0.331  0.750  0.918
Li  0.997  0.250  0.751
Li  0.618  0.999  0.718
Li  0.288  0.500  0.553
Li  0.498  0.000  0.500
O  0.005  0.364  0.431
O  0.263  0.364  0.882
O  0.332  0.638  0.237
O  0.480  0.861  0.809
O  0.599  0.363  0.549
O  0.857  0.139  0.857
O  0.737  0.136  0.618
O  0.146  0.361  0.642
O  0.736  0.636  0.118
O  0.519  0.637  0.689
O  0.809  0.361  0.977
O  0.403  0.137  0.952
O  0.328  0.361  0.095
O  0.403  0.637  0.451
O  0.143  0.861  0.143
O  0.005  0.639  0.571
O  0.339  0.139  0.738
O  0.265  0.864  0.382
O  0.004  0.863  0.932
O  0.516  0.137  0.190
O  0.069  0.136  0.283
O  0.597  0.863  0.048
O  0.191  0.638  0.024
O  0.811  0.861  0.474
O  0.665  0.861  0.261
O  0.995  0.136  0.068
O  0.669  0.363  0.765
O  0.932  0.864  0.716
O  0.850  0.637  0.355
O  0.186  0.137  0.522
O  0.671  0.139  0.404
O  0.672  0.639  0.905
O  0.336  0.864  0.598
O  0.070  0.636  0.784
O  0.932  0.364  0.216
O  0.483  0.362  0.309
Mn  0.558  0.252  0.862
Mn  0.892  0.751  0.029
Mn  0.553  0.748  0.360
Mn  0.224  0.750  0.694
Mn  0.108  0.248  0.972
Mn  0.444  0.750  0.139
Mn  0.890  0.250  0.527
Cr  0.774  0.252  0.307
Cr  0.103  0.751  0.473
Cr  0.439  0.250  0.640
Cr  0.773  0.750  0.807
Cr  0.226  0.248  0.192

***

Mg3AlFeSi3O12 | PBE with a Hubbard U | relaxed

Computed properties:
DFT total energy   -279.8 eV/cell
E_form   -2.89 eV/atom
Space group   No. 4

a b c (Å): 5.029 4.858 14.090
angles (deg): 89.98 90.00 90.00
Fractional coordinates of all 40 atoms:
Si  0.993  0.749  0.877
Si  0.493  0.252  0.876
Si  0.993  0.748  0.124
Si  0.008  0.760  0.629
Si  0.493  0.251  0.123
Si  0.508  0.240  0.371
O  0.458  0.357  0.249
O  0.290  0.950  0.150
O  0.696  0.554  0.903
O  0.313  0.921  0.653
O  0.051  0.871  0.503
O  0.788  0.054  0.150
O  0.714  0.565  0.593
O  0.551  0.129  0.497
O  0.328  0.940  0.348
O  0.813  0.079  0.347
O  0.698  0.546  0.406
O  0.958  0.643  0.751
O  0.958  0.647  0.244
O  0.828  0.060  0.652
O  0.790  0.050  0.850
O  0.193  0.447  0.904
O  0.196  0.446  0.097
O  0.028  0.853  0.001
O  0.693  0.553  0.096
O  0.198  0.454  0.594
O  0.528  0.147  0.999
O  0.288  0.946  0.850
O  0.214  0.435  0.407
O  0.458  0.353  0.756
Al  0.006  0.757  0.371
Al  0.506  0.243  0.629
Mg  0.052  0.241  0.243
Mg  0.554  0.763  0.243
Mg  0.552  0.759  0.757
Mg  0.436  0.737  0.999
Mg  0.054  0.237  0.757
Mg  0.936  0.263  0.001
Fe  0.941  0.271  0.500
Fe  0.441  0.729  0.500

***

Li3V4O7F5 | PBE with a Hubbard U | relaxed

Computed properties:
Energy relative to the lowest polymorph listed for this composition   0.000 eV per atom
DFT total energy   -123.6 eV/cell
E_form   -2.70 eV/atom
Space group   No. 1

a b c (Å): 5.062 5.383 8.937
angles (deg): 106.74 89.07 117.40
Fractional coordinates of all 19 atoms:
F  0.324  0.244  0.181
F  0.343  0.272  0.580
F  0.678  0.767  0.808
F  0.743  0.729  0.123
F  0.250  0.770  0.631
V  0.801  0.510  0.261
V  0.528  0.984  0.481
V  0.015  0.022  0.998
V  0.199  0.472  0.761
O  0.798  0.211  0.070
O  0.188  0.749  0.308
O  0.181  0.767  0.933
O  0.817  0.261  0.681
O  0.683  0.745  0.438
O  0.247  0.264  0.879
O  0.724  0.251  0.377
Li  0.556  0.135  0.855
Li  0.437  0.868  0.138
Li  0.796  0.612  0.601

***

MnAl2Sb2P6O24 | PBE with a Hubbard U | relaxed

Computed properties:
Energy relative to the lowest polymorph listed for this composition   0.000 eV per atom
DFT total energy   -250.2 eV/cell
E_form   -2.64 eV/atom
Space group   No. 148

a b c (Å): 8.544 8.544 8.544
angles (deg): 60.12 60.12 60.12
Fractional coordinates of all 35 atoms:
O  0.050  0.915  0.277
O  0.723  0.950  0.085
O  0.370  0.976  0.213
O  0.491  0.125  0.310
O  0.277  0.050  0.915
O  0.630  0.024  0.787
O  0.950  0.085  0.723
O  0.787  0.630  0.024
O  0.875  0.690  0.509
O  0.239  0.578  0.437
O  0.437  0.239  0.578
O  0.509  0.875  0.690
O  0.690  0.509  0.875
O  0.310  0.491  0.125
O  0.761  0.422  0.563
O  0.915  0.277  0.050
O  0.422  0.563  0.761
O  0.213  0.370  0.976
O  0.563  0.761  0.422
O  0.578  0.437  0.239
O  0.085  0.723  0.950
O  0.976  0.213  0.370
O  0.024  0.787  0.630
O  0.125  0.310  0.491
P  0.739  0.465  0.043
P  0.043  0.739  0.465
P  0.957  0.261  0.535
P  0.535  0.957  0.261
P  0.465  0.043  0.739
P  0.261  0.535  0.957
Mn  0.500  0.500  0.500
Al  0.356  0.356  0.356
Al  0.644  0.644  0.644
Sb  0.862  0.862  0.862
Sb  0.138  0.138  0.138

***

LiFe4B4O12 | PBE with a Hubbard U | relaxed

Computed properties:
Energy relative to the lowest polymorph listed for this composition   0.005 eV per atom
DFT total energy   -302.8 eV/cell
E_form   -2.23 eV/atom
Space group   No. 1

a b c (Å): 5.324 9.022 11.302
angles (deg): 113.31 102.77 90.11
Fractional coordinates of all 42 atoms:
Fe  0.901  0.898  0.124
Fe  0.849  0.520  0.369
Fe  0.096  0.084  0.867
Fe  0.398  0.399  0.121
Fe  0.346  0.017  0.372
Fe  0.597  0.609  0.874
Fe  0.650  0.981  0.626
Fe  0.157  0.476  0.617
B  0.597  0.274  0.871
B  0.113  0.762  0.877
B  0.649  0.642  0.623
B  0.891  0.231  0.123
B  0.856  0.858  0.377
B  0.395  0.728  0.122
B  0.149  0.140  0.624
B  0.356  0.353  0.367
O  0.763  0.098  0.117
O  0.307  0.883  0.173
O  0.471  0.456  0.324
O  0.557  0.782  0.629
O  0.249  0.899  0.898
O  0.069  0.292  0.646
O  0.636  0.907  0.426
O  0.603  0.718  0.064
O  0.142  0.406  0.422
O  0.131  0.224  0.088
O  0.026  0.037  0.661
O  0.532  0.543  0.670
O  0.881  0.764  0.913
O  0.719  0.408  0.869
O  0.697  0.126  0.824
O  0.363  0.095  0.571
O  0.443  0.209  0.356
O  0.206  0.606  0.823
O  0.976  0.959  0.335
O  0.783  0.381  0.164
O  0.862  0.586  0.569
O  0.947  0.716  0.369
O  0.280  0.596  0.124
O  0.369  0.289  0.918
Li  0.399  0.042  0.098
Li  0.070  0.408  0.841

***

Li9Mn2Co5O16 | PBE with a Hubbard U | relaxed

Computed properties:
Energy relative to the lowest polymorph listed for this composition   0.051 eV per atom
DFT total energy   -185.7 eV/cell
E_form   -1.81 eV/atom
Space group   No. 8

a b c (Å): 7.770 7.770 13.151
angles (deg): 86.82 86.82 21.48
Fractional coordinates of all 32 atoms:
Li  0.942  0.942  0.682
Li  0.310  0.310  0.554
Li  0.692  0.692  0.436
Li  0.058  0.058  0.317
Li  0.192  0.192  0.937
Li  0.559  0.559  0.805
Li  0.872  0.872  0.377
Li  0.442  0.442  0.202
Li  0.811  0.811  0.064
Co  0.374  0.374  0.872
Co  0.493  0.493  0.487
Co  0.123  0.123  0.621
Co  0.749  0.749  0.748
Co  0.626  0.626  0.131
O  0.415  0.415  0.025
O  0.538  0.538  0.652
O  0.914  0.914  0.530
O  0.038  0.038  0.159
O  0.788  0.788  0.905
O  0.835  0.835  0.221
O  0.082  0.082  0.475
O  0.712  0.712  0.593
O  0.217  0.217  0.106
O  0.962  0.962  0.844
O  0.332  0.332  0.726
O  0.276  0.276  0.391
O  0.471  0.471  0.354
O  0.667  0.667  0.274
O  0.589  0.589  0.980
O  0.165  0.165  0.773
Mn  0.255  0.255  0.255
Mn  0.001  0.001  0.002